[1]
Material: ReCl3
Method: DFT, GGA-PBE
State: relaxed

Results
space group	No. 166

a b c (Å): 9.3936 9.3936 9.3936
angles (deg): 67.64 67.64 67.64
Sites, in units of the cell vectors:
Re (0.1209, 0.3553, 0.3553)
Re (0.3553, 0.1209, 0.3553)
Re (0.3553, 0.3553, 0.1209)
Re (0.6447, 0.6447, 0.8791)
Re (0.6447, 0.8791, 0.6447)
Re (0.8791, 0.6447, 0.6447)
Cl (0.0321, 0.7221, 0.7221)
Cl (0.1240, 0.1240, 0.5867)
Cl (0.1240, 0.5867, 0.1240)
Cl (0.1717, 0.4924, 0.4924)
Cl (0.2779, 0.2779, 0.9679)
Cl (0.2779, 0.9679, 0.2779)
Cl (0.4133, 0.8760, 0.8760)
Cl (0.4924, 0.1717, 0.4924)
Cl (0.4924, 0.4924, 0.1717)
Cl (0.5076, 0.5076, 0.8283)
Cl (0.5076, 0.8283, 0.5076)
Cl (0.5867, 0.1240, 0.1240)
Cl (0.7221, 0.0321, 0.7221)
Cl (0.7221, 0.7221, 0.0321)
Cl (0.8283, 0.5076, 0.5076)
Cl (0.8760, 0.4133, 0.8760)
Cl (0.8760, 0.8760, 0.4133)
Cl (0.9679, 0.2779, 0.2779)



[2]
Material: Cs3GaCl6
Method: DFT, GGA-PBE
State: relaxed

Results
space group	No. 225

a b c (Å): 8.0099 8.0099 8.0099
angles (deg): 60.00 60.00 60.00
Sites, in units of the cell vectors:
Cs (0.0000, 0.0000, 0.0000)
Cs (0.2500, 0.2500, 0.2500)
Cs (0.7500, 0.7500, 0.7500)
Ga (0.5000, 0.5000, 0.5000)
Cl (0.2879, 0.2879, 0.7121)
Cl (0.2879, 0.7121, 0.2879)
Cl (0.2879, 0.7121, 0.7121)
Cl (0.7121, 0.2879, 0.2879)
Cl (0.7121, 0.2879, 0.7121)
Cl (0.7121, 0.7121, 0.2879)



[3]
Material: EuCu4Pd
Method: DFT, GGA-PBE
State: relaxed

Results
space group	No. 187

a b c (Å): 5.1582 5.1582 4.2198
angles (deg): 90.00 90.00 120.00
Sites, in units of the cell vectors:
Eu (0.0000, 0.0000, 0.0000)
Cu (0.5041, 0.0081, 0.5000)
Cu (0.5041, 0.4959, 0.5000)
Cu (0.6667, 0.3333, 0.0000)
Cu (0.9919, 0.4959, 0.5000)
Pd (0.3333, 0.6667, 0.0000)



[4]
Material: Y3Pt
Method: DFT, GGA-PBE
State: relaxed

Results
space group	No. 62

a b c (Å): 7.0829 9.6501 6.5344
angles (deg): 90.00 90.00 90.00
Sites, in units of the cell vectors:
Y (0.0267, 0.2500, 0.1318)
Y (0.1797, 0.0618, 0.6803)
Y (0.1797, 0.4382, 0.6803)
Y (0.3203, 0.5618, 0.1803)
Y (0.3203, 0.9382, 0.1803)
Y (0.4733, 0.7500, 0.6318)
Y (0.5267, 0.2500, 0.3682)
Y (0.6797, 0.0618, 0.8197)
Y (0.6797, 0.4382, 0.8197)
Y (0.8203, 0.5618, 0.3197)
Y (0.8203, 0.9382, 0.3197)
Y (0.9733, 0.7500, 0.8682)
Pt (0.1112, 0.7500, 0.4511)
Pt (0.3888, 0.2500, 0.9511)
Pt (0.6112, 0.7500, 0.0489)
Pt (0.8888, 0.2500, 0.5489)



Calculated values (meV/atom) of ΔE_f for the records, taken in order: -1133.4; -1988.1; -250.9; -705.0.